[1]
## TbGe2Ru2 (r2SCAN)

Data for a geometry-optimized TbGe2Ru2 structure.

The space group is I4/mmm (No. 139) and the conventional cell measures 4.238, 4.238 and 9.837 Å, with angles of 90.00, 90.00 and 90.00 degrees. The inequivalent atoms are Tb at (0.000, 0.000, 0.000), Ge at (0.000, 0.000, 0.369) and Ru at (0.000, 0.500, 0.250).

The final energy comes out at -22.685 eV/atom. The value obtained for the spin magnetization is 0.0 μB/cell.

[2]
## U2Ge4Mo3 (r2SCAN)

Data for a geometry-optimized U2Ge4Mo3 structure.

The space group is P2_1/c (No. 14) and the conventional cell measures 7.058, 7.037 and 6.915 Å, with angles of 90.00, 109.66 and 90.00 degrees. The inequivalent atoms are U at (0.189, 0.166, 0.052), Ge at (0.097, 0.548, 0.866), Ge at (0.493, 0.641, 0.636), Mo at (0.244, 0.655, 0.255) and Mo at (0.500, 0.000, 0.500).

The final energy comes out at -32.960 eV/atom. The value obtained for the spin magnetization is 8.8 μB/cell.

[3]
## MgMoPb2O6 (r2SCAN)

Data for a geometry-optimized MgMoPb2O6 structure.

The space group is Fm-3m (No. 225) and the conventional cell measures 7.953, 7.953 and 7.953 Å, with angles of 90.00, 90.00 and 90.00 degrees. The inequivalent atoms are Mg at (0.000, 0.000, 0.000), Mo at (0.000, 0.000, 0.500), Pb at (0.250, 0.250, 0.250) and O at (0.000, 0.000, 0.259).

The final energy comes out at -19.859 eV/atom. The value obtained for the spin magnetization is 0.0 μB/cell.

Quick rundown of energy of formation, same order as above: -0.721, -0.339, -1.995 eV per atom